[1]
A geometry-optimized TiV3Sn2P6O24 structure, computed with PBE with a Hubbard U.

Structure (CIF):
```
data_TiV3Sn2P6O24
_chemical_formula_sum 'Ti1 V3 Sn2 P6 O24'
_cell_length_a 9.0123
_cell_length_b 9.0123
_cell_length_c 9.0123
_cell_angle_alpha 57.39
_cell_angle_beta 57.39
_cell_angle_gamma 57.39
_space_group_name_H-M_alt 'P 1'
_space_group_IT_number 1
_space_group_name_Hall 'P 1'
loop_
_atom_site_label
_atom_site_fract_x
_atom_site_fract_y
_atom_site_fract_z
P1 0.4617 0.0367 0.7510
P2 0.9645 0.2499 0.5372
P3 0.7510 0.4617 0.0367
P4 0.5372 0.9645 0.2499
P5 0.0367 0.7510 0.4617
P6 0.2499 0.5372 0.9645
O1 0.2892 0.5075 0.1258
O2 0.0007 0.2080 0.3723
O3 0.9248 0.2776 0.0635
O4 0.8746 0.7134 0.4902
O5 0.4217 0.5582 0.7793
O6 0.2776 0.0635 0.9248
O7 0.7793 0.4217 0.5582
O8 0.0769 0.7213 0.9394
O9 0.5075 0.1258 0.2892
O10 0.4902 0.8746 0.7134
O11 0.0073 0.7894 0.6240
O12 0.5582 0.7793 0.4217
O13 0.3723 0.0007 0.2080
O14 0.6240 0.0073 0.7894
O15 0.2227 0.5799 0.4346
O16 0.9394 0.0769 0.7213
O17 0.0635 0.9248 0.2776
O18 0.2080 0.3723 0.0007
O19 0.1258 0.2892 0.5075
O20 0.5799 0.4346 0.2227
O21 0.4346 0.2227 0.5799
O22 0.7134 0.4902 0.8746
O23 0.7213 0.9394 0.0769
O24 0.7894 0.6240 0.0073
V1 0.8514 0.8514 0.8514
V2 0.3535 0.3535 0.3535
V3 0.6472 0.6472 0.6472
Sn1 0.9966 0.9966 0.9966
Sn2 0.5003 0.5003 0.5003
Ti1 0.1475 0.1475 0.1475
```

**Energy of formation**: -94.896 eV/f.u.
**Total moment**: 5.00 μB per formula unit



[2]
A geometry-optimized V2SnP3O12 structure, computed with PBE with a Hubbard U.

Structure (CIF):
```
data_V2SnP3O12
_chemical_formula_sum 'V4 Sn2 P6 O24'
_cell_length_a 8.9963
_cell_length_b 8.9963
_cell_length_c 8.9963
_cell_angle_alpha 57.37
_cell_angle_beta 57.37
_cell_angle_gamma 57.37
_space_group_name_H-M_alt 'P 1'
_space_group_IT_number 1
_space_group_name_Hall 'P 1'
loop_
_atom_site_label
_atom_site_fract_x
_atom_site_fract_y
_atom_site_fract_z
O1 0.0620 0.9233 0.2788
O2 0.2788 0.0620 0.9233
O3 0.2136 0.3724 0.9923
O4 0.4923 0.8724 0.7136
O5 0.2212 0.5767 0.4380
O6 0.7136 0.4923 0.8724
O7 0.0767 0.7212 0.9380
O8 0.3724 0.9923 0.2136
O9 0.1276 0.2864 0.5077
O10 0.0077 0.7864 0.6276
O11 0.9380 0.0767 0.7212
O12 0.4380 0.2212 0.5767
O13 0.9923 0.2136 0.3724
O14 0.7212 0.9380 0.0767
O15 0.7864 0.6276 0.0077
O16 0.5077 0.1276 0.2864
O17 0.5767 0.4380 0.2212
O18 0.4233 0.5620 0.7788
O19 0.5620 0.7788 0.4233
O20 0.9233 0.2788 0.0620
O21 0.6276 0.0077 0.7864
O22 0.8724 0.7136 0.4923
O23 0.7788 0.4233 0.5620
O24 0.2864 0.5077 0.1276
V1 0.3523 0.3523 0.3523
V2 0.8523 0.8523 0.8523
V3 0.1477 0.1477 0.1477
V4 0.6477 0.6477 0.6477
Sn1 0.5000 0.5000 0.5000
Sn2 0.0000 0.0000 0.0000
P1 0.0364 0.7500 0.4636
P2 0.5364 0.9636 0.2500
P3 0.7500 0.4636 0.0364
P4 0.2500 0.5364 0.9636
P5 0.9636 0.2500 0.5364
P6 0.4636 0.0364 0.7500
```

**Energy of formation**: -45.836 eV/f.u.
**Total moment**: 3.00 μB per formula unit



[3]
A geometry-optimized VSnPO5 structure, computed with PBE with a Hubbard U.

Structure (CIF):
```
data_VSnPO5
_chemical_formula_sum 'V4 Sn4 P4 O20'
_cell_length_a 6.6278
_cell_length_b 6.9834
_cell_length_c 10.6606
_cell_angle_alpha 83.44
_cell_angle_beta 74.30
_cell_angle_gamma 113.06
_space_group_name_H-M_alt 'P 1'
_space_group_IT_number 1
_space_group_name_Hall 'P 1'
loop_
_atom_site_label
_atom_site_fract_x
_atom_site_fract_y
_atom_site_fract_z
O1 0.3870 0.1834 0.5486
O2 0.7134 0.1559 0.6188
O3 0.0240 0.8892 0.2140
O4 0.7114 0.0008 0.0321
O5 0.9760 0.1107 0.7861
O6 0.3878 0.3523 0.1117
O7 0.4759 0.6107 0.2858
O8 0.7882 0.4993 0.4679
O9 0.7867 0.3445 0.8813
O10 0.1112 0.1469 0.3881
O11 0.6130 0.8166 0.4514
O12 0.2133 0.6555 0.1186
O13 0.5241 0.3892 0.7142
O14 0.1131 0.3170 0.9515
O15 0.2866 0.8441 0.3812
O16 0.8868 0.6829 0.0486
O17 0.6123 0.6478 0.8882
O18 0.2118 0.5007 0.5321
O19 0.2885 0.9993 0.9679
O20 0.8888 0.8531 0.6119
V1 0.5543 0.6807 0.0796
V2 0.0544 0.1807 0.5798
V3 0.9456 0.8193 0.4202
V4 0.4457 0.3193 0.9204
Sn1 0.4802 0.2393 0.3002
Sn2 0.0193 0.2602 0.1998
Sn3 0.5198 0.7607 0.6998
Sn4 0.9808 0.7398 0.8001
P1 0.3958 0.6913 0.4116
P2 0.6042 0.3087 0.5884
P3 0.1042 0.8084 0.0883
P4 0.8958 0.1916 0.9117
```

**Energy of formation**: -19.656 eV/f.u.
**Total moment**: 0.00 μB per formula unit



[4]
A geometry-optimized VSnP2O8 structure, computed with PBE with a Hubbard U.

Structure (CIF):
```
data_VSnP2O8
_chemical_formula_sum 'V4 Sn4 P8 O32'
_cell_length_a 6.0219
_cell_length_b 10.0341
_cell_length_c 10.1872
_cell_angle_alpha 90.42
_cell_angle_beta 90.00
_cell_angle_gamma 90.00
_space_group_name_H-M_alt 'P 1'
_space_group_IT_number 1
_space_group_name_Hall 'P 1'
loop_
_atom_site_label
_atom_site_fract_x
_atom_site_fract_y
_atom_site_fract_z
P1 0.2500 0.6917 0.0958
P2 0.2500 0.5466 0.5914
P3 0.2500 0.1917 0.0958
P4 0.7500 0.3083 0.9043
P5 0.2500 0.0467 0.5914
P6 0.7500 0.9534 0.4086
P7 0.7500 0.8083 0.9042
P8 0.7500 0.4534 0.4086
O1 0.2500 0.0904 0.4455
O2 0.7500 0.9097 0.5544
O3 0.7500 0.8309 0.0498
O4 0.0513 0.6184 0.1699
O5 0.9523 0.8818 0.3361
O6 0.2500 0.1690 0.9502
O7 0.2500 0.8429 0.1274
O8 0.4486 0.1184 0.1699
O9 0.5514 0.3816 0.8301
O10 0.7500 0.1023 0.3949
O11 0.7500 0.6023 0.3949
O12 0.5477 0.8818 0.3361
O13 0.2500 0.5904 0.4456
O14 0.9523 0.3818 0.3361
O15 0.4487 0.6184 0.1699
O16 0.0477 0.6182 0.6639
O17 0.0477 0.1182 0.6638
O18 0.7500 0.4096 0.5544
O19 0.7500 0.3310 0.0498
O20 0.7500 0.1570 0.8727
O21 0.9487 0.8816 0.8301
O22 0.0514 0.1184 0.1699
O23 0.4523 0.1182 0.6638
O24 0.7500 0.6570 0.8726
O25 0.5477 0.3818 0.3361
O26 0.5513 0.8816 0.8301
O27 0.2500 0.3429 0.1274
O28 0.2500 0.6691 0.9502
O29 0.2500 0.3977 0.6050
O30 0.2500 0.8978 0.6051
O31 0.9486 0.3816 0.8301
O32 0.4523 0.6182 0.6639
V1 0.7500 0.7253 0.2282
V2 0.2500 0.7745 0.7718
V3 0.2500 0.2748 0.7717
V4 0.7500 0.2253 0.2284
Sn1 0.7500 0.0234 0.7223
Sn2 0.2500 0.4766 0.2776
Sn3 0.2500 0.9766 0.2777
Sn4 0.7500 0.5233 0.7223
```

**Energy of formation**: -29.689 eV/f.u.
**Total moment**: 0.00 μB per formula unit



[5]
A geometry-optimized SnP6W3O24 structure, computed with PBE with a Hubbard U.

Structure (CIF):
```
data_SnP6W3O24
_chemical_formula_sum 'Sn1 P6 W3 O24'
_cell_length_a 8.8278
_cell_length_b 8.8278
_cell_length_c 8.8278
_cell_angle_alpha 60.20
_cell_angle_beta 60.20
_cell_angle_gamma 60.20
_space_group_name_H-M_alt 'P 1'
_space_group_IT_number 1
_space_group_name_Hall 'P 1'
loop_
_atom_site_label
_atom_site_fract_x
_atom_site_fract_y
_atom_site_fract_z
O1 0.7203 0.9366 0.0831
O2 0.7993 0.6267 0.0021
O3 0.2079 0.3763 0.9872
O4 0.9366 0.0831 0.7203
O5 0.0831 0.7203 0.9366
O6 0.3763 0.9872 0.2079
O7 0.9174 0.2831 0.0485
O8 0.7009 0.5001 0.8738
O9 0.1248 0.2902 0.5095
O10 0.5095 0.1248 0.2902
O11 0.2162 0.5871 0.4462
O12 0.7804 0.4144 0.5673
O13 0.2831 0.0485 0.9174
O14 0.6267 0.0021 0.7993
O15 0.5001 0.8738 0.7009
O16 0.4144 0.5673 0.7804
O17 0.9872 0.2079 0.3763
O18 0.5673 0.7804 0.4144
O19 0.2902 0.5095 0.1248
O20 0.0021 0.7993 0.6267
O21 0.5871 0.4462 0.2162
O22 0.0485 0.9174 0.2831
O23 0.4462 0.2162 0.5871
O24 0.8738 0.7009 0.5001
P1 0.2489 0.5377 0.9623
P2 0.9623 0.2489 0.5377
P3 0.0375 0.7520 0.4618
P4 0.7520 0.4618 0.0375
P5 0.5377 0.9623 0.2489
P6 0.4618 0.0375 0.7520
Sn1 0.1390 0.1390 0.1390
W1 0.3609 0.3609 0.3609
W2 0.6405 0.6405 0.6405
W3 0.8601 0.8601 0.8601
```

**Energy of formation**: -84.285 eV/f.u.
**Total moment**: 4.00 μB per formula unit



[6]
A geometry-optimized Sn3P6WO24 structure, computed with PBE with a Hubbard U.

Structure (CIF):
```
data_Sn3P6WO24
_chemical_formula_sum 'Sn3 P6 W1 O24'
_cell_length_a 9.0040
_cell_length_b 9.0040
_cell_length_c 9.0040
_cell_angle_alpha 58.29
_cell_angle_beta 58.29
_cell_angle_gamma 58.29
_space_group_name_H-M_alt 'P 1'
_space_group_IT_number 1
_space_group_name_Hall 'P 1'
loop_
_atom_site_label
_atom_site_fract_x
_atom_site_fract_y
_atom_site_fract_z
O1 0.2145 0.4504 0.5789
O2 0.9206 0.0599 0.2894
O3 0.8705 0.4893 0.7219
O4 0.4893 0.7219 0.8705
O5 0.3731 0.2193 0.9878
O6 0.9956 0.6379 0.7854
O7 0.0730 0.9317 0.7148
O8 0.0599 0.2894 0.9206
O9 0.4504 0.5789 0.2145
O10 0.5789 0.2145 0.4504
O11 0.2193 0.9878 0.3731
O12 0.5196 0.2689 0.1314
O13 0.2894 0.9206 0.0599
O14 0.9878 0.3731 0.2193
O15 0.7219 0.8705 0.4893
O16 0.5680 0.4147 0.7820
O17 0.2689 0.1314 0.5196
O18 0.7854 0.9956 0.6379
O19 0.7820 0.5680 0.4147
O20 0.6379 0.7854 0.9956
O21 0.4147 0.7820 0.5680
O22 0.7148 0.0730 0.9317
O23 0.9317 0.7148 0.0730
O24 0.1314 0.5196 0.2689
P1 0.0373 0.4619 0.7497
P2 0.5353 0.2525 0.9624
P3 0.2525 0.9624 0.5353
P4 0.4619 0.7497 0.0373
P5 0.7497 0.0373 0.4619
P6 0.9624 0.5353 0.2525
Sn1 0.1432 0.1432 0.1432
Sn2 0.6432 0.6432 0.6432
Sn3 0.3585 0.3585 0.3585
W1 0.8574 0.8574 0.8574
```

**Energy of formation**: -84.462 eV/f.u.
**Total moment**: 0.00 μB per formula unit



> total moment of number 5 (SnP6W3O24)?

4.00 μB per formula unit